Below is a relaxed Pr3Sb5Pd6 crystal, with properties calculated at the r²SCAN level.

Results
Space group = Pmmn
Uncorrected energy = -26.274 eV per atom
Calculated formation energy = -0.952 eV per atom

```
28
Lattice="4.464 0.000 0.000 0.000 13.505 0.000 0.000 0.000 10.254" Properties=species:S:1:pos:R:3 pbc="T T T"
Pr 1.116 1.038 2.540
Pr 1.116 5.715 2.540
Pr 1.116 10.129 2.483
Pr 3.348 3.376 7.771
Pr 3.348 7.791 7.714
Pr 3.348 12.467 7.714
Sb 1.116 1.155 8.849
Sb 1.116 5.598 8.849
Sb 1.116 8.396 5.327
Sb 1.116 10.129 8.600
Sb 1.116 11.862 5.327
Sb 3.348 1.643 4.927
Sb 3.348 3.376 1.654
Sb 3.348 5.110 4.927
Sb 3.348 7.907 1.405
Sb 3.348 12.351 1.405
Pd 1.116 0.928 6.234
Pd 1.116 3.376 0.131
Pd 1.116 3.376 4.923
Pd 1.116 5.825 6.234
Pd 1.116 7.944 10.186
Pd 1.116 12.314 10.186
Pd 3.348 1.191 0.068
Pd 3.348 5.562 0.068
Pd 3.348 7.681 4.020
Pd 3.348 10.129 5.331
Pd 3.348 10.129 10.124
Pd 3.348 12.577 4.020
```


Below is a relaxed PrSiPd2 crystal, with properties calculated at the r²SCAN level.

Results
Space group = Pnma
Uncorrected energy = -21.945 eV per atom
Calculated formation energy = -0.921 eV per atom

```
16
Lattice="7.591 0.000 0.000 0.000 6.911 0.000 0.000 0.000 5.729" Properties=species:S:1:pos:R:3 pbc="T T T"
Pr 0.235 1.728 0.840
Pr 3.560 5.183 3.704
Pr 4.031 1.728 2.025
Pr 7.356 5.183 4.889
Si 0.959 5.183 2.008
Si 2.836 1.728 4.873
Si 4.755 5.183 0.856
Si 6.632 1.728 3.720
Pd 1.315 0.364 3.393
Pd 1.315 3.092 3.393
Pd 2.481 3.819 0.529
Pd 2.481 6.547 0.529
Pd 5.110 0.364 5.200
Pd 5.110 3.092 5.200
Pd 6.276 3.819 2.336
Pd 6.276 6.547 2.336
```


Below is a relaxed PrZnPd crystal, with properties calculated at the r²SCAN level.

Results
Space group = P-62m
Uncorrected energy = -21.109 eV per atom
Calculated formation energy = -0.684 eV per atom

```
9
Lattice="7.437 0.000 0.000 -3.718 6.440 0.000 0.000 0.000 3.991" Properties=species:S:1:pos:R:3 pbc="T T T"
Pr -2.199 3.809 0.000
Pr 1.519 2.631 0.000
Pr 4.398 0.000 0.000
Zn -0.889 1.540 1.996
Zn 1.778 0.000 1.996
Zn 2.829 4.900 1.996
Pd 0.000 0.000 0.000
Pd 0.000 4.294 1.996
Pd 3.718 2.147 1.996
```


Below is a relaxed PdPt3 crystal, with properties calculated at the r²SCAN level.

Results
Space group = I4/mmm
Uncorrected energy = -44.391 eV per atom
Calculated formation energy = -0.035 eV per atom

```
4
Lattice="-1.972 1.972 3.916 1.972 -1.972 3.916 1.972 1.972 -3.916" Properties=species:S:1:pos:R:3 pbc="T T T"
Pd 0.000 0.000 0.000
Pt 1.972 0.000 1.958
Pt 0.000 0.000 3.916
Pt 0.000 1.972 1.958
```


Below is a relaxed Sn2Pd3Pt3 crystal, with properties calculated at the r²SCAN level.

Results
Space group = Pmmm
Uncorrected energy = -34.570 eV per atom
Calculated formation energy = -0.465 eV per atom

```
8
Lattice="4.012 0.000 0.000 0.000 4.027 0.000 0.000 0.000 8.018" Properties=species:S:1:pos:R:3 pbc="T T T"
Sn 0.000 0.000 1.990
Sn 0.000 0.000 6.028
Pd 0.000 2.013 0.000
Pd 2.006 2.013 2.004
Pd 2.006 2.013 6.014
Pt 0.000 2.013 4.009
Pt 2.006 0.000 0.000
Pt 2.006 0.000 4.009
```


Below is a relaxed Yb2PdPt crystal, with properties calculated at the r²SCAN level.

Results
Space group = Fm-3m
Uncorrected energy = -38.107 eV per atom
Calculated formation energy = -1.231 eV per atom

```
4
Lattice="0.000 3.414 3.414 3.414 0.000 3.414 3.414 3.414 0.000" Properties=species:S:1:pos:R:3 pbc="T T T"
Yb 1.707 1.707 1.707
Yb 5.121 5.121 5.121
Pd 0.000 0.000 0.000
Pt 3.414 3.414 3.414
```


Which of these has the highest uncorrected energy?
PrZnPd